No. 1
U2P6O21 | PBE | relaxed

Properties
**Space group**: Cc, No. 9
**Energy relative to the lowest polymorph listed for this composition**: 0.000 eV per formula unit
**Energy relative to the elements**: -1.95 eV per atom

Lattice parameters (Å, degrees): 7.0365 7.0365 20.9095 96.95 96.95 104.78
Fractional positions:
U  0.0455  0.9545  0.5000
U  0.3932  0.7670  0.2161
U  0.7670  0.3932  0.7161
U  0.9545  0.0455  0.0000
P  0.2343  0.2712  0.7398
P  0.2712  0.2343  0.2398
P  0.3088  0.6697  0.3716
P  0.3768  0.4187  0.9483
P  0.4088  0.8424  0.9489
P  0.4187  0.3768  0.4483
P  0.4804  0.7891  0.4773
P  0.6306  0.8479  0.7114
P  0.6697  0.3088  0.8716
P  0.7891  0.4804  0.9773
P  0.8424  0.4088  0.4489
P  0.8479  0.6306  0.2114
O  0.0302  0.1601  0.5779
O  0.0412  0.1603  0.0977
O  0.0873  0.1766  0.2672
O  0.0996  0.7461  0.2309
O  0.1050  0.4109  0.7316
O  0.1601  0.0302  0.0779
O  0.1603  0.0412  0.5977
O  0.1766  0.0873  0.7672
O  0.2083  0.2690  0.9649
O  0.2350  0.7060  0.1206
O  0.2690  0.2083  0.4649
O  0.2993  0.6186  0.9480
O  0.3028  0.9423  0.9057
O  0.3354  0.8692  0.5135
O  0.3439  0.4357  0.2196
O  0.3899  0.4413  0.3807
O  0.4109  0.1050  0.2316
O  0.4357  0.3439  0.7196
O  0.4413  0.3899  0.8807
O  0.4427  0.7429  0.1182
O  0.4529  0.7772  0.3291
O  0.4680  0.5661  0.5015
O  0.4891  0.8129  0.7589
O  0.5661  0.4680  0.0015
O  0.5828  0.8140  0.6388
O  0.5898  0.9188  0.9984
O  0.6186  0.2993  0.4480
O  0.6970  0.7811  0.2271
O  0.6982  0.9048  0.4916
O  0.7060  0.2350  0.6206
O  0.7429  0.4427  0.6182
O  0.7461  0.0996  0.7309
O  0.7772  0.4529  0.8291
O  0.7811  0.6970  0.7271
O  0.8129  0.4891  0.2589
O  0.8140  0.5828  0.1388
O  0.8617  0.9860  0.9137
O  0.8692  0.3354  0.0135
O  0.9048  0.6982  0.9916
O  0.9188  0.5898  0.4984
O  0.9423  0.3028  0.4057
O  0.9860  0.8617  0.4137

---

No. 2
UP4O12 | PBE | relaxed

Properties
**Space group**: P2_1/c, No. 14
**Energy relative to the lowest polymorph listed for this composition**: 4.129 eV per formula unit
**Energy relative to the elements**: -2.59 eV per atom

Lattice parameters (Å, degrees): 6.7952 14.6281 12.0127 90.00 100.57 90.00
Fractional positions:
U  0.0376  0.1495  0.1860
U  0.0376  0.3505  0.6860
U  0.9624  0.6495  0.3140
U  0.9624  0.8505  0.8140
P  0.0453  0.0961  0.6836
P  0.0453  0.4039  0.1836
P  0.1985  0.1894  0.4937
P  0.1985  0.3106  0.9937
P  0.3349  0.5064  0.5204
P  0.3349  0.9936  0.0204
P  0.4583  0.6357  0.2244
P  0.4583  0.8643  0.7244
P  0.5417  0.1357  0.2756
P  0.5417  0.3643  0.7756
P  0.6651  0.0064  0.9796
P  0.6651  0.4936  0.4796
P  0.8015  0.6894  0.0063
P  0.8015  0.8106  0.5063
P  0.9547  0.5961  0.8164
P  0.9547  0.9039  0.3164
O  0.0064  0.6851  0.7702
O  0.0064  0.8149  0.2702
O  0.0161  0.0081  0.7376
O  0.0161  0.4919  0.2376
O  0.0751  0.2332  0.0370
O  0.0751  0.2668  0.5370
O  0.0919  0.1557  0.3782
O  0.0919  0.3443  0.8782
O  0.1345  0.0945  0.5761
O  0.1345  0.4055  0.0761
O  0.1837  0.5718  0.4588
O  0.1837  0.9282  0.9588
O  0.2710  0.0520  0.1100
O  0.2710  0.4480  0.6100
O  0.2775  0.6652  0.2707
O  0.2775  0.8348  0.7707
O  0.3684  0.2012  0.2478
O  0.3684  0.2988  0.7478
O  0.4179  0.1964  0.5195
O  0.4179  0.3036  0.0195
O  0.4457  0.0542  0.9329
O  0.4457  0.4458  0.4329
O  0.4623  0.5507  0.1596
O  0.4623  0.9493  0.6596
O  0.5377  0.0507  0.3404
O  0.5377  0.4493  0.8404
O  0.5543  0.5542  0.5671
O  0.5543  0.9458  0.0671
O  0.5821  0.6964  0.9805
O  0.5821  0.8036  0.4805
O  0.6316  0.7012  0.2522
O  0.6316  0.7988  0.7522
O  0.7225  0.1652  0.2293
O  0.7225  0.3348  0.7293
O  0.7290  0.5520  0.3900
O  0.7290  0.9480  0.8900
O  0.8163  0.0718  0.0412
O  0.8163  0.4282  0.5412
O  0.8655  0.5945  0.9239
O  0.8655  0.9055  0.4239
O  0.9081  0.6557  0.1218
O  0.9081  0.8443  0.6218
O  0.9249  0.7332  0.4630
O  0.9249  0.7668  0.9630
O  0.9839  0.5081  0.7624
O  0.9839  0.9919  0.2624
O  0.9936  0.1851  0.7298
O  0.9936  0.3149  0.2298

---

No. 3
UPO5 | PBE | relaxed

Properties
**Space group**: P-1, No. 2
**Energy relative to the lowest polymorph listed for this composition**: 0.000 eV per formula unit
**Energy relative to the elements**: -3.22 eV per atom

Lattice parameters (Å, degrees): 5.5242 8.9111 9.3524 101.90 103.12 97.85
Fractional positions:
U  0.1471  0.2028  0.4513
U  0.1619  0.6967  0.9472
U  0.8381  0.3033  0.0528
U  0.8529  0.7972  0.5487
P  0.2197  0.5782  0.3215
P  0.4078  0.9847  0.7366
P  0.5922  0.0153  0.2634
P  0.7803  0.4218  0.6785
O  0.0683  0.6844  0.4060
O  0.0704  0.1939  0.0043
O  0.1385  0.4064  0.3302
O  0.1439  0.5690  0.1502
O  0.2229  0.0287  0.6036
O  0.2233  0.8556  0.7697
O  0.3830  0.0875  0.3248
O  0.3866  0.5885  0.8858
O  0.4756  0.8770  0.1296
O  0.4968  0.3577  0.6043
O  0.5032  0.6423  0.3957
O  0.5244  0.1230  0.8704
O  0.6134  0.4115  0.1142
O  0.6170  0.9125  0.6752
O  0.7767  0.1444  0.2303
O  0.7771  0.9713  0.3964
O  0.8561  0.4310  0.8498
O  0.8615  0.5936  0.6698
O  0.9296  0.8061  0.9957
O  0.9316  0.3156  0.5940

---

No. 4
UP4O12 | PBE | relaxed

Properties
**Space group**: P-1, No. 2
**Energy relative to the lowest polymorph listed for this composition**: 0.039 eV per formula unit
**Energy relative to the elements**: -2.83 eV per atom

Lattice parameters (Å, degrees): 8.3039 8.8416 14.6750 78.65 74.38 62.15
Fractional positions:
U  0.0948  0.1594  0.1113
U  0.3742  0.3301  0.3909
U  0.6258  0.6699  0.6091
U  0.9052  0.8406  0.8887
P  0.1125  0.3541  0.6387
P  0.1239  0.0803  0.3672
P  0.2386  0.7449  0.4940
P  0.2468  0.0123  0.7428
P  0.2610  0.7271  0.0207
P  0.3026  0.4712  0.7465
P  0.3712  0.3771  0.1248
P  0.3976  0.1339  0.8682
P  0.6024  0.8661  0.1318
P  0.6288  0.6229  0.8752
P  0.6974  0.5288  0.2535
P  0.7390  0.2729  0.9793
P  0.7532  0.9877  0.2572
P  0.7614  0.2551  0.5060
P  0.8761  0.9197  0.6328
P  0.8875  0.6459  0.3613
O  0.0770  0.4974  0.3496
O  0.0889  0.7945  0.5923
O  0.0926  0.2014  0.7146
O  0.1299  0.5972  0.8032
O  0.1338  0.0727  0.2641
O  0.1380  0.8983  0.4193
O  0.1471  0.9272  0.8173
O  0.1519  0.6868  0.9707
O  0.1666  0.8915  0.0675
O  0.2084  0.2876  0.5424
O  0.2163  0.3542  0.1048
O  0.2268  0.1793  0.9460
O  0.2468  0.5868  0.4659
O  0.2563  0.3902  0.6742
O  0.2579  0.1264  0.3911
O  0.3417  0.5731  0.0998
O  0.3633  0.9225  0.6541
O  0.3799  0.0548  0.7838
O  0.4114  0.3057  0.8130
O  0.4124  0.7438  0.5055
O  0.4127  0.3251  0.2222
O  0.4176  0.9829  0.1068
O  0.4464  0.5289  0.6885
O  0.4476  0.7260  0.9523
O  0.5524  0.2740  0.0477
O  0.5536  0.4711  0.3115
O  0.5824  0.0171  0.8932
O  0.5873  0.6749  0.7778
O  0.5876  0.2562  0.4945
O  0.5886  0.6943  0.1870
O  0.6201  0.9452  0.2162
O  0.6367  0.0775  0.3459
O  0.6583  0.4269  0.9002
O  0.7421  0.8736  0.6089
O  0.7437  0.6098  0.3258
O  0.7532  0.4132  0.5341
O  0.7732  0.8207  0.0540
O  0.7837  0.6458  0.8952
O  0.7916  0.7124  0.4576
O  0.8334  0.1085  0.9325
O  0.8481  0.3132  0.0293
O  0.8529  0.0728  0.1827
O  0.8620  0.1017  0.5807
O  0.8662  0.9273  0.7359
O  0.8701  0.4028  0.1968
O  0.9074  0.7986  0.2854
O  0.9111  0.2055  0.4077
O  0.9230  0.5026  0.6504

---

No. 5
YPO4 | PBE | relaxed

Properties
**Space group**: I4_1/amd, No. 141
**Energy relative to the elements**: -3.48 eV per atom

Lattice parameters (Å, degrees): 5.7959 5.7959 5.7959 105.92 105.92 116.83
Fractional positions:
Y  0.3750  0.6250  0.7500
Y  0.6250  0.3750  0.2500
P  0.1250  0.8750  0.2500
P  0.8750  0.1250  0.7500
O  0.1391  0.7151  0.4239
O  0.2088  0.2849  0.9239
O  0.2849  0.2088  0.4239
O  0.2849  0.8609  0.0761
O  0.7151  0.1391  0.9239
O  0.7151  0.7912  0.5761
O  0.7912  0.7151  0.0761
O  0.8609  0.2849  0.5761

---

No. 6
YPO4 | PBE | relaxed

Properties
**Space group**: P6_222, No. 180
**Energy relative to the elements**: -3.46 eV per atom

Lattice parameters (Å, degrees): 6.9604 6.9604 6.2924 90.00 90.00 120.00
Fractional positions:
Y  0.0000  0.5000  0.1667
Y  0.5000  0.0000  0.5000
Y  0.5000  0.5000  0.8333
P  0.0000  0.5000  0.6667
P  0.5000  0.0000  0.0000
P  0.5000  0.5000  0.3333
O  0.1408  0.4452  0.8192
O  0.1408  0.6956  0.5142
O  0.3044  0.4452  0.1808
O  0.3044  0.8592  0.1525
O  0.4452  0.1408  0.8475
O  0.4452  0.3044  0.4858
O  0.5548  0.6956  0.4858
O  0.5548  0.8592  0.8475
O  0.6956  0.1408  0.1525
O  0.6956  0.5548  0.1808
O  0.8592  0.3044  0.5142
O  0.8592  0.5548  0.8192

---

No. 7
YPO6 | PBE | relaxed

Properties
**Space group**: C2/c, No. 15
**Energy relative to the elements**: -2.22 eV per atom

Lattice parameters (Å, degrees): 8.3089 8.3089 5.7554 98.96 98.96 138.58
Fractional positions:
Y  0.1798  0.8202  0.7500
Y  0.8202  0.1798  0.2500
P  0.3351  0.6649  0.2500
P  0.6649  0.3351  0.7500
O  0.1430  0.3678  0.1084
O  0.2111  0.6573  0.4361
O  0.3181  0.4487  0.6939
O  0.3427  0.7889  0.0639
O  0.3678  0.1430  0.6084
O  0.4487  0.3181  0.1939
O  0.5513  0.6819  0.8061
O  0.6322  0.8570  0.3916
O  0.6573  0.2111  0.9361
O  0.6819  0.5513  0.3061
O  0.7889  0.3427  0.5639
O  0.8570  0.6322  0.8916

---

No. 8
YZnPO | PBE | relaxed

Properties
**Space group**: R-3m, No. 166
**Energy relative to the elements**: -2.04 eV per atom

Lattice parameters (Å, degrees): 10.4111 10.4111 10.4111 21.63 21.63 21.63
Fractional positions:
Y  0.1202  0.1202  0.1202
Y  0.8798  0.8798  0.8798
Zn  0.3038  0.3038  0.3038
Zn  0.6962  0.6962  0.6962
P  0.3881  0.3881  0.3881
P  0.6119  0.6119  0.6119
O  0.1947  0.1947  0.1947
O  0.8053  0.8053  0.8053